Entry 1:
First-principles (PBE) data for EuZrSe3 after structural relaxation, as listed in the Materials Project database.

Properties
Energy of formation from the pure elements ... -1.873 eV/atom
Magnetic moment ... 6.97 μB per formula unit

Cell: 3.9719 8.9140 14.4672 Å, 90.00 90.00 90.00°
Atoms (fractional coordinates):
Se 0.2500 0.5212 0.1102
Zr 0.2500 0.1702 0.5566
Zr 0.7500 0.3298 0.0566
Se 0.2500 0.2940 0.7206
Se 0.2500 0.6569 0.5147
Se 0.7500 0.7060 0.2794
Eu 0.2500 0.9373 0.1778
Se 0.7500 0.3431 0.4853
Se 0.7500 0.8431 0.0147
Se 0.2500 0.1569 0.9853
Eu 0.7500 0.5627 0.6778
Eu 0.2500 0.4373 0.3222
Se 0.7500 0.2060 0.2206
Se 0.2500 0.7940 0.7794
Se 0.2500 0.0212 0.3898
Zr 0.2500 0.6702 0.9434
Zr 0.7500 0.8298 0.4434
Eu 0.7500 0.0627 0.8222
Se 0.7500 0.4788 0.8898
Se 0.7500 0.9788 0.6102



Entry 2:
First-principles (PBE) data for Li6BiB3O9 after structural relaxation, as listed in the Materials Project database.

Properties
Energy of formation from the pure elements ... -2.490 eV/atom
Magnetic moment ... 0.00 μB per formula unit

Cell: 16.7311 6.8001 7.3558 Å, 74.41 90.00 90.00°
Atoms (fractional coordinates):
Li 0.7937 0.1317 0.7120
Li 0.0362 0.4451 0.6959
O 0.4335 0.2354 0.7191
O 0.3173 0.8267 0.8467
B 0.6330 0.3405 0.0798
O 0.6950 0.7228 0.4278
B 0.6134 0.6837 0.4423
Li 0.4494 0.4223 0.1440
B 0.3820 0.9940 0.2949
Li 0.4984 0.8226 0.0712
O 0.4137 0.9088 0.4701
O 0.8309 0.0280 0.9909
O 0.9294 0.4675 0.8687
Li 0.4638 0.9451 0.6959
Bi 0.8133 0.3462 0.0753
Li 0.5016 0.1774 0.9288
O 0.1950 0.7772 0.5722
O 0.8173 0.6733 0.1533
O 0.5514 0.3228 0.0846
B 0.8670 0.8405 0.0798
O 0.5863 0.0912 0.5299
Li 0.9696 0.8311 0.5442
O 0.0665 0.7354 0.7191
O 0.5706 0.9675 0.8687
Li 0.9638 0.5549 0.3041
O 0.6987 0.9508 0.7293
O 0.6827 0.1733 0.1533
O 0.1827 0.3267 0.8467
O 0.4235 0.4289 0.3952
O 0.6691 0.5280 0.9909
Li 0.5506 0.5777 0.8560
O 0.4294 0.0325 0.1313
O 0.0765 0.9289 0.3952
Li 0.0304 0.1689 0.4558
B 0.8866 0.1837 0.4423
B 0.1180 0.4940 0.2949
Li 0.7045 0.0526 0.4346
O 0.9335 0.2646 0.2809
Li 0.7955 0.5526 0.4346
B 0.3866 0.3163 0.5577
B 0.8820 0.5060 0.7051
B 0.1330 0.1595 0.9202
Li 0.9494 0.0777 0.8560
O 0.3050 0.2772 0.5722
B 0.6180 0.0060 0.7051
Li 0.7063 0.6317 0.7120
O 0.8013 0.4508 0.7293
Li 0.2045 0.4474 0.5654
O 0.3309 0.4720 0.0091
Li 0.5304 0.3311 0.5442
Li 0.9984 0.6774 0.9288
Li 0.5362 0.0549 0.3041
O 0.9235 0.0711 0.6048
O 0.3013 0.0492 0.2707
O 0.8050 0.2228 0.4278
Li 0.0016 0.3226 0.0712
O 0.4486 0.6772 0.9154
O 0.5765 0.5711 0.6048
B 0.3670 0.6595 0.9202
Li 0.2937 0.3683 0.2880
Li 0.2955 0.9474 0.5654
O 0.0706 0.5325 0.1313
O 0.1691 0.9720 0.0091
B 0.1134 0.8163 0.5577
O 0.5665 0.7646 0.2809
Bi 0.3133 0.1538 0.9247
Li 0.4696 0.6689 0.4558
O 0.9486 0.8228 0.0846
Bi 0.6867 0.8462 0.0753
O 0.1987 0.5492 0.2707
Li 0.0506 0.9223 0.1440
Li 0.2063 0.8683 0.2880
O 0.9137 0.5912 0.5299
O 0.0863 0.4088 0.4701
O 0.0514 0.1772 0.9154
Bi 0.1867 0.6538 0.9247



Entry 3:
First-principles (PBE) data for Er2IrPd after structural relaxation, as listed in the Materials Project database.

Properties
Energy of formation from the pure elements ... -0.963 eV/atom

Cell: 4.8558 4.8558 4.8558 Å, 60.00 60.00 60.00°
Atoms (fractional coordinates):
Er 0.7500 0.7500 0.7500
Er 0.2500 0.2500 0.2500
Ir 0.5000 0.5000 0.5000
Pd 0.0000 0.0000 0.0000



Entry 4:
First-principles (PBE) data for Na3AgTe2S6 after structural relaxation, as listed in the Materials Project database.

Properties
Energy of formation from the pure elements ... -0.755 eV/atom
Magnetic moment ... 0.00 μB per formula unit

Cell: 12.2420 5.8480 8.3848 Å, 87.32 90.00 90.00°
Atoms (fractional coordinates):
S 0.2650 0.7179 0.6193
Ag 0.7295 0.7265 0.3799
Te 0.9109 0.2120 0.5671
Na 0.9173 0.2545 0.1148
Na 0.0819 0.7458 0.3865
S 0.7650 0.2821 0.3807
Te 0.4109 0.7880 0.4329
S 0.9390 0.7571 0.1034
S 0.5669 0.7511 0.6010
S 0.0669 0.2489 0.3990
Ag 0.2295 0.2735 0.6201
Te 0.5922 0.2084 0.0694
Te 0.0922 0.7916 0.9306
S 0.2376 0.7387 0.1190
S 0.1027 0.1974 0.8725
S 0.6027 0.8026 0.1275
Na 0.7638 0.7579 0.8785
S 0.4390 0.2429 0.8966
S 0.7376 0.2613 0.8810
S 0.3931 0.1955 0.4063
Na 0.5819 0.2542 0.6135
Na 0.4173 0.7455 0.8852
S 0.8931 0.8045 0.5937
Na 0.2638 0.2421 0.1215



Entry 5:
First-principles (PBE) data for Sn3Te2Se after structural relaxation, as listed in the Materials Project database.

Properties
Energy of formation from the pure elements ... -0.403 eV/atom

Cell: 4.4337 4.4337 10.9107 Å, 90.00 90.00 120.00°
Atoms (fractional coordinates):
Te 0.3333 0.6667 0.6717
Se 0.0000 0.0000 0.0000
Sn 0.0000 0.0000 0.5000
Sn 0.6667 0.3333 0.8451
Sn 0.3333 0.6667 0.1549
Te 0.6667 0.3333 0.3283



Entry 6:
First-principles (PBE) data for Mg16PaAl12 after structural relaxation, as listed in the Materials Project database.

Properties
Offset from the most stable computed form ... 14.0 meV/atom
Energy of formation from the pure elements ... -0.026 eV/atom
Magnetic moment ... 0.20 μB per formula unit

Cell: 9.2768 9.2768 9.2768 Å, 110.51 110.51 110.51°
Atoms (fractional coordinates):
Al 0.3650 0.0051 0.1869
Mg 0.9968 0.9968 0.6549
Al 0.0051 0.3650 0.1869
Mg 0.9982 0.9982 0.9982
Mg 0.6096 0.6096 0.2752
Mg 0.6908 0.3916 0.0025
Mg 0.3916 0.6908 0.0025
Mg 0.3916 0.0025 0.6908
Al 0.1869 0.0051 0.3650
Al 0.1869 0.3650 0.0051
Mg 0.3166 0.3166 0.7196
Mg 0.6096 0.2752 0.6096
Al 0.6269 0.8072 0.6269
Mg 0.3166 0.7196 0.3166
Mg 0.2752 0.6096 0.6096
Al 0.0051 0.1869 0.3650
Al 0.3650 0.1869 0.0051
Al 0.8072 0.6269 0.6269
Al 0.8093 0.1708 0.8093
Mg 0.9968 0.6549 0.9968
Mg 0.6549 0.9968 0.9968
Al 0.6269 0.6269 0.8072
Mg 0.0025 0.6908 0.3916
Mg 0.7196 0.3166 0.3166
Mg 0.0025 0.3916 0.6908
Pa 0.3723 0.3723 0.3723
Al 0.8093 0.8093 0.1708
Mg 0.6908 0.0025 0.3916
Al 0.1708 0.8093 0.8093



Entry 7:
First-principles (PBE) data for Na2MgNb2O6 after structural relaxation, as listed in the Materials Project database.

Properties
Offset from the most stable computed form ... 158.2 meV/atom
Energy of formation from the pure elements ... -2.516 eV/atom
Magnetic moment ... 2.00 μB per formula unit

Cell: 5.3845 5.3715 6.2174 Å, 61.97 63.05 59.03°
Atoms (fractional coordinates):
Nb 0.1416 0.1296 0.6197
O 0.0649 0.7384 0.7804
O 0.5432 0.9423 0.3254
Na 0.6441 0.6356 0.0757
Na 0.4890 0.4936 0.5282
Nb 0.8192 0.8168 0.5236
O 0.9403 0.1818 0.3462
O 0.1918 0.5276 0.3247
O 0.4021 0.0761 0.7977
Mg 0.3157 0.3174 0.0504
O 0.7231 0.4157 0.7947



Entry 8:
First-principles (PBE) data for Ba2H20Ru2Cl10O11 after structural relaxation, as listed in the Materials Project database.

Properties
Energy of formation from the pure elements ... -1.319 eV/atom
Magnetic moment ... 0.31 μB per formula unit

Cell: 8.9610 11.5665 14.0461 Å, 79.20 71.40 67.21°
Atoms (fractional coordinates):
H 0.9046 0.9334 0.6381
O 0.6660 0.0229 0.8462
Cl 0.1411 0.4666 0.2893
Cl 0.7704 0.5179 0.9597
O 0.3361 0.9407 0.9356
Cl 0.2296 0.4821 0.0403
H 0.0481 0.5938 0.8548
H 0.2481 0.9575 0.9018
O 0.0774 0.1574 0.3496
H 0.5231 0.4125 0.6221
O 0.4999 0.3273 0.5356
H 0.6965 0.7539 0.0755
O 0.6372 0.8273 0.0356
H 0.0199 0.7145 0.9040
H 0.3893 0.3934 0.5360
H 0.5259 0.7461 0.4245
Cl 0.8970 0.0334 0.2107
H 0.3188 0.1066 0.9640
O 0.2124 0.5593 0.5644
Cl 0.8556 0.1432 0.6384
O 0.5844 0.3426 0.1504
Cl 0.6371 0.3568 0.8616
H 0.2715 0.9328 0.2084
H 0.5873 0.4328 0.7084
Ba 0.3312 0.2117 0.1694
H 0.3035 0.2461 0.9245
O 0.9838 0.3136 0.1574
H 0.5033 0.0938 0.3548
H 0.4769 0.5875 0.3779
H 0.4741 0.2539 0.5755
H 0.2031 0.5967 0.4969
H 0.4423 0.9125 0.1221
Cl 0.6128 0.8946 0.3266
H 0.7969 0.4033 0.5031
O 0.5001 0.6727 0.4644
O 0.4549 0.1864 0.3426
Cl 0.3872 0.1054 0.6734
H 0.8926 0.4575 0.4018
H 0.5577 0.0875 0.8779
H 0.3219 0.6802 0.9109
O 0.4156 0.6574 0.8496
Ru 0.8856 0.8668 0.3395
H 0.6812 0.8934 0.0360
Cl 0.1659 0.3946 0.8266
O 0.3340 0.9771 0.1538
O 0.5451 0.8136 0.6574
H 0.4127 0.5672 0.2916
H 0.7519 0.0425 0.0982
Cl 0.2481 0.9821 0.5403
Ru 0.9081 0.3668 0.8395
H 0.4967 0.9062 0.6452
Ru 0.1144 0.1332 0.6605
H 0.7034 0.0967 0.9969
Cl 0.1444 0.8568 0.3616
O 0.4648 0.5229 0.3462
O 0.7876 0.4407 0.4356
O 0.0162 0.6864 0.8426
Ba 0.2877 0.7117 0.6694
H 0.6384 0.7855 0.5960
Cl 0.0570 0.7860 0.0211
H 0.9131 0.8198 0.5891
H 0.9801 0.2855 0.0960
Ba 0.6688 0.7883 0.8306
Ru 0.0919 0.6332 0.1605
O 0.5352 0.4771 0.6538
O 0.9226 0.8426 0.6504
Cl 0.8641 0.7140 0.4789
Cl 0.9430 0.2140 0.9789
H 0.2966 0.9033 0.0031
Cl 0.1030 0.9666 0.7893
H 0.6107 0.6066 0.4640
Cl 0.1359 0.2860 0.5211
O 0.3628 0.1727 0.9644
H 0.3616 0.2145 0.4040
O 0.0113 0.2500 0.7500
H 0.5240 0.4334 0.1381
Cl 0.7519 0.0179 0.4597
H 0.7285 0.0672 0.7916
H 0.4760 0.5666 0.8619
H 0.6781 0.3198 0.0891
H 0.9519 0.4062 0.1452
H 0.1074 0.5425 0.5982
H 0.0869 0.1802 0.4109
Cl 0.8589 0.5334 0.7107
Ba 0.7123 0.2883 0.3306
O 0.9887 0.7500 0.2500
H 0.0954 0.0666 0.3619
Cl 0.3629 0.6432 0.1384
Cl 0.8341 0.6054 0.1734
O 0.6639 0.0593 0.0644